The following is a DFT calculation (GGA-PBE) of an optimized crystal structure of K2RbInF6.

Properties
Its volume is 21.212 A^3/atom. Its total energy after the MP2020 corrections is -4.663 eV/atom. As for the size of the total moment: 0.00 μB per cell. For the uncorrected energy, the calculation gives -4.386 eV per atom. For the formation energy from the elements, the calculation gives -29.19 eV per formula unit.

Geometry as POSCAR:
```
K2RbInF6
1.0
5.504 0.544 3.771
0.006 4.021 5.352
0.112 -2.624 6.158
F K Rb In
6 2 1 1
Cartesian
1.252 2.667 6.368
1.310 -1.028 6.816
4.308 0.734 5.489
4.371 -0.725 8.912
1.314 1.208 9.791
4.312 2.969 8.465
1.406 0.485 3.820
4.217 1.456 11.460
2.811 0.971 7.640
0.000 0.000 0.000
```

The following is a DFT calculation (GGA-PBE) of an optimized crystal structure of K2ScInF6.

Properties
Its volume is 19.809 A^3/atom. Its total energy after the MP2020 corrections is -5.547 eV/atom. As for the size of the total moment: 0.00 μB per cell. For the uncorrected energy, the calculation gives -5.269 eV per atom. For the formation energy from the elements, the calculation gives -32.67 eV per formula unit.

Geometry as POSCAR:
```
K2ScInF6
1.0
0.388 -5.525 -3.484
-1.210 -5.761 2.857
-5.440 -3.314 -1.495
F K Sc In
6 2 1 1
Cartesian
-4.425 -5.067 -1.304
-5.103 -8.295 0.296
-1.159 -6.305 -2.419
-4.207 -8.163 -3.256
-2.055 -6.438 1.134
-1.837 -9.534 -0.818
-1.565 -3.650 -0.531
-4.696 -10.950 -1.592
0.000 0.000 0.000
-3.131 -7.300 -1.061
```

The following is a DFT calculation (GGA-PBE) of an optimized crystal structure of K2YInF6.

Properties
Its volume is 21.771 A^3/atom. Its total energy after the MP2020 corrections is -5.553 eV/atom. As for the size of the total moment: 0.00 μB per cell. For the uncorrected energy, the calculation gives -5.276 eV per atom. For the formation energy from the elements, the calculation gives -32.60 eV per formula unit.

Geometry as POSCAR:
```
K2YInF6
1.0
0.000 4.775 4.775
4.775 0.000 4.775
4.775 4.775 0.000
F In K Y
6 1 2 1
Cartesian
4.775 4.775 2.183
4.775 7.367 4.775
2.183 4.775 4.775
4.775 4.775 7.367
7.367 4.775 4.775
4.775 2.183 4.775
4.775 4.775 4.775
2.387 2.387 2.387
7.162 7.162 7.162
0.000 0.000 0.000
```